VASP calculation (r²SCAN) on crystalline KCO2 at its relaxed geometry. Values from VASP.

```
&SYSTEM
  ibrav = 0, nat = 16, ntyp = 3
/
ATOMIC_SPECIES
K 39.10 K.upf
C 12.01 C.upf
O 16.00 O.upf
CELL_PARAMETERS angstrom
6.112 0.000 0.000
0.000 10.892 0.000
0.000 0.000 3.395
ATOMIC_POSITIONS angstrom
K 0.585 1.633 0.000
K 2.471 7.079 0.000
K 3.641 3.813 0.000
K 5.527 9.259 0.000
C 0.427 4.782 1.698
C 2.629 10.228 1.698
C 3.483 0.664 1.698
C 5.685 6.110 1.698
O 0.215 7.199 1.698
O 1.376 10.355 1.698
O 1.680 4.909 1.698
O 2.841 1.752 1.698
O 3.271 9.140 1.698
O 4.432 5.983 1.698
O 4.736 0.537 1.698
O 5.897 3.694 1.698
```

Properties
As for the space group: Pbam. The value obtained for the density is 2.44 Mg/m³. For the volume, the calculation gives 14.13 Å³/atom. The size of the total moment is 0.00 μB/cell.



VASP calculation (r²SCAN) on crystalline Zn3As2O6 at its relaxed geometry. Values from VASP.

```
&SYSTEM
  ibrav = 0, nat = 44, ntyp = 3
/
ATOMIC_SPECIES
Zn 65.41 Zn.upf
As 74.92 As.upf
O 16.00 O.upf
CELL_PARAMETERS angstrom
6.137 0.000 0.000
0.000 14.388 0.000
0.000 0.000 7.830
ATOMIC_POSITIONS angstrom
Zn 0.000 0.000 1.452
Zn 0.000 0.000 6.378
Zn 0.390 3.194 2.233
Zn 0.390 3.194 5.597
Zn 2.678 10.388 2.233
Zn 2.678 10.388 5.597
Zn 3.068 7.194 1.452
Zn 3.068 7.194 6.378
Zn 3.459 4.000 2.233
Zn 3.459 4.000 5.597
Zn 5.746 11.195 2.233
Zn 5.746 11.195 5.597
As 0.542 9.003 0.000
As 1.376 5.793 3.915
As 1.693 12.987 3.915
As 2.526 1.809 0.000
As 3.611 12.580 0.000
As 4.444 1.401 3.915
As 4.761 8.595 3.915
As 5.595 5.385 0.000
O 0.543 12.892 2.554
O 0.543 12.892 5.276
O 0.954 10.068 1.370
O 0.954 10.068 6.460
O 0.991 4.054 3.915
O 1.026 0.869 0.000
O 2.043 8.063 0.000
O 2.078 11.249 3.915
O 2.114 2.873 1.370
O 2.114 2.873 6.460
O 2.526 5.698 2.554
O 2.526 5.698 5.276
O 3.611 8.690 2.554
O 3.611 8.690 5.276
O 4.022 11.515 1.370
O 4.022 11.515 6.460
O 4.059 3.140 3.915
O 4.094 6.325 0.000
O 5.111 13.519 0.000
O 5.146 10.334 3.915
O 5.183 4.321 1.370
O 5.183 4.321 6.460
O 5.594 1.496 2.554
O 5.594 1.496 5.276
```

Properties
As for the space group: Pbam. The value obtained for the density is 4.25 Mg/m³. For the volume, the calculation gives 15.71 Å³/atom. The size of the total moment is 0.00 μB/cell.



VASP calculation (r²SCAN) on crystalline MoPO5 at its relaxed geometry. Values from VASP.

```
&SYSTEM
  ibrav = 0, nat = 28, ntyp = 3
/
ATOMIC_SPECIES
Mo 95.94 Mo.upf
P 30.97 P.upf
O 16.00 O.upf
CELL_PARAMETERS angstrom
7.291 0.000 0.000
-0.001 7.340 0.000
-3.634 -0.002 6.418
ATOMIC_POSITIONS angstrom
Mo -0.906 1.832 1.603
Mo 4.561 5.505 4.814
Mo 2.740 1.836 1.603
Mo 0.915 5.502 4.814
P -0.903 0.939 4.815
P 0.914 4.610 1.607
P 2.741 2.728 4.811
P 4.558 6.398 1.602
O -2.166 0.068 4.811
O -0.347 3.736 1.603
O -0.905 1.830 3.582
O 0.907 5.503 0.376
O 0.916 1.386 1.601
O -0.906 5.055 4.812
O -0.895 1.841 6.041
O 0.920 5.509 2.835
O 0.358 0.065 4.826
O 2.177 3.738 1.615
O 1.478 3.600 4.803
O 3.297 7.273 1.591
O 2.735 1.829 3.583
O 4.550 5.497 0.377
O 4.561 2.282 1.606
O 2.739 5.952 4.816
O 2.748 1.835 6.042
O 4.560 5.507 2.835
O 4.002 3.602 4.815
O 5.821 7.269 1.607
```

Properties
The offset from the most stable computed form is 0.022 eV/atom. As for the space group: P-1. The value obtained for the density is 4.00 Mg/m³. For the volume, the calculation gives 12.26 Å³/atom. The size of the total moment is 4.00 μB/cell.



VASP calculation (r²SCAN) on crystalline BaH2O2 at its relaxed geometry. Values from VASP.

```
&SYSTEM
  ibrav = 0, nat = 40, ntyp = 3
/
ATOMIC_SPECIES
Ba 137.33 Ba.upf
H 1.01 H.upf
O 16.00 O.upf
CELL_PARAMETERS angstrom
6.781 0.000 0.000
0.000 7.868 0.000
-5.933 0.000 9.361
ATOMIC_POSITIONS angstrom
Ba -1.641 0.381 2.977
Ba -4.608 3.553 7.658
Ba -1.172 5.069 5.663
Ba 1.795 6.733 0.983
Ba -0.947 1.135 8.377
Ba 2.020 2.799 3.697
Ba 5.456 4.315 1.703
Ba 2.489 7.487 6.383
H -2.434 1.788 5.802
H 0.532 2.146 1.122
H -4.456 1.178 9.146
H -1.490 2.756 4.465
H -0.758 0.334 5.770
H 2.209 3.600 1.090
H 0.716 5.807 3.810
H -2.250 5.995 8.490
H 3.098 1.873 0.871
H 0.132 2.061 5.551
H -1.361 4.268 8.270
H 1.605 7.534 3.590
H 2.338 5.112 4.895
H 5.304 6.690 0.215
H 0.315 5.722 8.239
H 3.282 6.080 3.559
O 0.146 1.259 0.994
O -2.821 2.675 5.674
O -3.648 1.096 8.589
O -0.681 2.838 3.909
O 1.308 3.974 1.114
O -1.659 7.828 5.795
O -2.854 5.544 7.873
O 0.112 6.258 3.192
O 0.736 1.610 6.168
O 3.702 2.324 1.488
O 2.507 0.040 3.566
O -0.460 3.894 8.246
O 1.529 5.030 5.452
O 4.495 6.772 0.772
O 3.669 5.193 3.687
O 0.702 6.609 8.367
```

Properties
As for the space group: P2_1/c. The value obtained for the density is 4.56 Mg/m³. For the volume, the calculation gives 12.49 Å³/atom. The size of the total moment is 0.00 μB/cell.



VASP calculation (r²SCAN) on crystalline Nd2Bi at its relaxed geometry. Values from VASP.

```
&SYSTEM
  ibrav = 0, nat = 12, ntyp = 2
/
ATOMIC_SPECIES
Nd 144.24 Nd.upf
Bi 208.98 Bi.upf
CELL_PARAMETERS angstrom
4.619 0.000 0.000
0.000 4.619 0.000
0.000 0.000 18.147
ATOMIC_POSITIONS angstrom
Nd 0.000 0.000 3.248
Nd 0.000 0.000 14.899
Nd 0.000 2.310 0.000
Nd 0.000 2.310 9.073
Nd 2.310 0.000 0.000
Nd 2.310 0.000 9.073
Nd 2.310 2.310 5.825
Nd 2.310 2.310 12.321
Bi 0.000 0.000 6.546
Bi 0.000 0.000 11.600
Bi 2.310 2.310 2.527
Bi 2.310 2.310 15.620
```

Properties
As for the space group: I4/mmm. The value obtained for the density is 8.53 Mg/m³. For the volume, the calculation gives 32.26 Å³/atom. The size of the total moment is 0.00 μB/cell.



VASP calculation (r²SCAN) on crystalline NdAl3Pb2O8 at its relaxed geometry. Values from VASP.

```
&SYSTEM
  ibrav = 0, nat = 56, ntyp = 4
/
ATOMIC_SPECIES
Nd 144.24 Nd.upf
Al 26.98 Al.upf
Pb 207.20 Pb.upf
O 16.00 O.upf
CELL_PARAMETERS angstrom
9.541 0.000 0.000
0.000 9.541 0.000
0.000 0.000 9.541
ATOMIC_POSITIONS angstrom
Nd 0.000 0.000 0.000
Nd 0.000 4.770 4.770
Nd 4.770 0.000 4.770
Nd 4.770 4.770 0.000
Al 0.000 2.385 7.156
Al 0.000 7.156 2.385
Al 2.385 0.000 7.156
Al 2.385 4.770 7.156
Al 2.385 7.156 0.000
Al 2.385 7.156 4.770
Al 4.770 2.385 7.156
Al 4.770 7.156 2.385
Al 7.156 0.000 2.385
Al 7.156 2.385 0.000
Al 7.156 2.385 4.770
Al 7.156 4.770 2.385
Pb 1.114 1.114 3.656
Pb 1.114 3.656 1.114
Pb 3.656 1.114 1.114
Pb 3.656 3.656 3.656
Pb 5.884 5.884 5.884
Pb 5.884 8.427 8.427
Pb 8.427 5.884 8.427
Pb 8.427 8.427 5.884
O 0.895 0.895 7.282
O 0.895 3.875 7.029
O 0.895 7.029 3.875
O 0.895 7.282 0.895
O 1.350 1.350 1.350
O 1.350 3.420 3.420
O 2.259 5.665 5.665
O 2.259 8.646 8.646
O 2.511 5.665 8.646
O 2.511 8.646 5.665
O 3.420 1.350 3.420
O 3.420 3.420 1.350
O 3.875 0.895 7.029
O 3.875 3.875 7.282
O 3.875 7.029 0.895
O 3.875 7.282 3.875
O 5.665 2.259 5.665
O 5.665 2.511 8.646
O 5.665 5.665 2.259
O 5.665 8.646 2.511
O 6.121 6.121 8.190
O 6.121 8.190 6.121
O 7.029 0.895 3.875
O 7.029 3.875 0.895
O 7.282 0.895 0.895
O 7.282 3.875 3.875
O 8.190 6.121 6.121
O 8.190 8.190 8.190
O 8.646 2.259 8.646
O 8.646 2.511 5.665
O 8.646 5.665 2.511
O 8.646 8.646 2.259
```

Properties
As for the space group: Pn-3m. The value obtained for the density is 5.87 Mg/m³. For the volume, the calculation gives 15.51 Å³/atom. The size of the total moment is 0.00 μB/cell.



VASP calculation (r²SCAN) on crystalline HfZrS6 at its relaxed geometry. Values from VASP.

```
&SYSTEM
  ibrav = 0, nat = 8, ntyp = 3
/
ATOMIC_SPECIES
Hf 178.49 Hf.upf
Zr 91.22 Zr.upf
S 32.06 S.upf
CELL_PARAMETERS angstrom
5.156 0.000 0.000
0.000 3.626 0.000
-1.093 0.000 9.139
ATOMIC_POSITIONS angstrom
Hf 0.000 0.000 0.000
Zr 2.576 1.813 2.756
S -0.002 1.813 1.838
S -0.059 1.813 7.592
S 1.545 0.000 4.328
S 2.577 0.000 0.883
S 3.028 1.813 7.592
S 3.604 0.000 4.332
```

Properties
As for the space group: Pm. The value obtained for the density is 4.49 Mg/m³. For the volume, the calculation gives 21.35 Å³/atom. The size of the total moment is 0.00 μB/cell.



VASP calculation (r²SCAN) on crystalline MgSiRh2 at its relaxed geometry. Values from VASP.

```
&SYSTEM
  ibrav = 0, nat = 16, ntyp = 3
/
ATOMIC_SPECIES
Mg 24.30 Mg.upf
Si 28.09 Si.upf
Rh 102.91 Rh.upf
CELL_PARAMETERS angstrom
5.956 0.000 0.000
0.000 5.956 0.000
0.000 0.000 5.956
ATOMIC_POSITIONS angstrom
Mg 0.000 0.000 0.000
Mg 0.000 2.978 2.978
Mg 2.978 0.000 2.978
Mg 2.978 2.978 0.000
Si 0.000 0.000 2.978
Si 0.000 2.978 0.000
Si 2.978 0.000 0.000
Si 2.978 2.978 2.978
Rh 1.489 1.489 1.489
Rh 1.489 1.489 4.467
Rh 1.489 4.467 1.489
Rh 1.489 4.467 4.467
Rh 4.467 1.489 1.489
Rh 4.467 1.489 4.467
Rh 4.467 4.467 1.489
Rh 4.467 4.467 4.467
```

Properties
As for the space group: Fm-3m. The value obtained for the density is 8.12 Mg/m³. For the volume, the calculation gives 13.20 Å³/atom. The size of the total moment is 0.00 μB/cell.



VASP calculation (r²SCAN) on crystalline AsBr3F6 at its relaxed geometry. Values from VASP.

```
&SYSTEM
  ibrav = 0, nat = 20, ntyp = 3
/
ATOMIC_SPECIES
As 74.92 As.upf
Br 79.90 Br.upf
F 19.00 F.upf
CELL_PARAMETERS angstrom
5.432 0.000 0.000
1.291 7.549 0.000
1.497 0.162 9.670
ATOMIC_POSITIONS angstrom
As 0.953 1.670 1.898
As 7.267 6.042 7.772
Br 2.738 1.836 5.302
Br 3.111 1.618 7.572
Br 3.342 4.671 1.708
Br 4.878 3.040 7.962
Br 5.109 6.093 2.098
Br 5.481 5.875 4.368
F 0.685 0.067 2.543
F 1.292 3.279 1.254
F 2.691 5.331 6.447
F 3.270 6.142 8.726
F 1.885 0.980 0.592
F 2.451 1.772 2.833
F 5.768 5.939 6.837
F 6.335 6.731 9.078
F 4.950 1.569 0.944
F 5.529 2.381 3.223
F 6.928 4.432 8.416
F 7.534 7.644 7.127
```

Properties
As for the space group: P-1. The value obtained for the density is 3.59 Mg/m³. For the volume, the calculation gives 19.83 Å³/atom. The size of the total moment is 0.00 μB/cell.



VASP calculation (r²SCAN) on crystalline EuCu4As2 at its relaxed geometry. Values from VASP.

```
&SYSTEM
  ibrav = 0, nat = 7, ntyp = 3
/
ATOMIC_SPECIES
Eu 151.96 Eu.upf
Cu 63.55 Cu.upf
As 74.92 As.upf
CELL_PARAMETERS angstrom
2.067 1.194 7.678
-2.067 1.194 7.678
0.000 -2.387 7.678
ATOMIC_POSITIONS angstrom
Eu 0.000 0.000 0.000
Cu 0.000 0.000 3.364
Cu 0.000 0.000 10.128
Cu 0.000 0.000 12.906
Cu 0.000 0.000 19.670
As 0.000 0.000 5.784
As 0.000 0.000 17.250
```

Properties
As for the space group: R-3m. The value obtained for the density is 8.12 Mg/m³. For the volume, the calculation gives 16.24 Å³/atom. The size of the total moment is 6.95 μB/cell.



VASP calculation (r²SCAN) on crystalline TbH3 at its relaxed geometry. Values from VASP.

```
&SYSTEM
  ibrav = 0, nat = 8, ntyp = 2
/
ATOMIC_SPECIES
Tb 158.93 Tb.upf
H 1.01 H.upf
CELL_PARAMETERS angstrom
3.681 0.000 0.000
-1.841 3.188 0.000
0.000 0.000 6.637
ATOMIC_POSITIONS angstrom
Tb 0.000 2.125 1.659
Tb 1.841 1.063 4.978
H 0.000 0.000 1.659
H 0.000 0.000 4.978
H 0.000 2.125 3.937
H 0.000 2.125 6.019
H 1.841 1.063 0.618
H 1.841 1.063 2.700
```

Properties
As for the space group: P6_3/mmc. The value obtained for the density is 6.91 Mg/m³. For the volume, the calculation gives 9.74 Å³/atom. The size of the total moment is 0.00 μB/cell.



VASP calculation (r²SCAN) on crystalline Dy3Pt4 at its relaxed geometry. Values from VASP.

```
&SYSTEM
  ibrav = 0, nat = 14, ntyp = 2
/
ATOMIC_SPECIES
Dy 162.50 Dy.upf
Pt 195.08 Pt.upf
CELL_PARAMETERS angstrom
6.577 3.797 1.900
-6.577 3.797 1.900
0.000 -7.595 1.900
ATOMIC_POSITIONS angstrom
Dy -2.480 -0.479 1.356
Dy 1.655 -1.908 1.356
Dy 0.825 2.387 1.356
Dy -0.825 -2.387 4.343
Dy -1.655 1.908 4.343
Dy 2.480 0.479 4.343
Pt 0.000 0.000 0.000
Pt -1.090 -3.110 1.597
Pt -2.148 2.499 1.597
Pt -3.238 -0.611 4.101
Pt 0.000 0.000 2.849
Pt 3.238 0.611 1.597
Pt 2.148 -2.499 4.101
Pt 1.090 3.110 4.101
```

Properties
As for the space group: R-3. The value obtained for the density is 14.79 Mg/m³. For the volume, the calculation gives 20.33 Å³/atom. The size of the total moment is 0.00 μB/cell.



Number 1: uncorrected energy -8.64 eV/atom, E_form -1.66 eV/atom. Number 2: uncorrected energy -9.89 eV/atom, E_form -1.53 eV/atom. Number 3: uncorrected energy -11.52 eV/atom, E_form -2.24 eV/atom. Number 4: uncorrected energy -10.98 eV/atom, E_form -1.91 eV/atom. Number 5: uncorrected energy -39.93 eV/atom, E_form -0.82 eV/atom. Number 6: uncorrected energy -17.83 eV/atom, E_form -2.84 eV/atom. Number 7: uncorrected energy -15.90 eV/atom, E_form -1.39 eV/atom. Number 8: uncorrected energy -16.10 eV/atom, E_form -0.80 eV/atom. Number 9: uncorrected energy -8.82 eV/atom, E_form -1.50 eV/atom. Number 10: uncorrected energy -16.34 eV/atom, E_form -0.44 eV/atom. Number 11: uncorrected energy -11.11 eV/atom, E_form -0.71 eV/atom. Number 12: uncorrected energy -44.48 eV/atom, E_form -1.35 eV/atom.